Record 1
Computed, not measured: crystalline Fe3O5F at its relaxed geometry at the PBE with a Hubbard U level of DFT.

Lattice parameters (Å, degrees): 4.644 5.546 7.601 85.22 89.82 89.81
Space group P1 (No. 1)
Symmetry-distinct sites (fractional):
Fe 0.000 0.000 0.000 [1 per cell]
Fe 0.002 0.654 0.313 [1 per cell]
Fe 0.012 0.317 0.663 [1 per cell]
Fe 0.505 0.161 0.330 [1 per cell]
Fe 0.522 0.478 0.991 [1 per cell]
Fe 0.550 0.832 0.655 [1 per cell]
O 0.204 0.946 0.217 [1 per cell]
O 0.206 0.281 0.894 [1 per cell]
O 0.320 0.452 0.227 [1 per cell]
O 0.326 0.124 0.558 [1 per cell]
O 0.705 0.196 0.110 [1 per cell]
O 0.708 0.867 0.420 [1 per cell]
O 0.709 0.525 0.759 [1 per cell]
O 0.817 0.701 0.081 [1 per cell]
O 0.823 0.024 0.773 [1 per cell]
O 0.827 0.368 0.435 [1 per cell]
F 0.215 0.632 0.563 [1 per cell]
F 0.317 0.784 0.884 [1 per cell]

## Properties
The value obtained for the magnetization is 13.0 μB/f.u. As for the calculated total energy: -6.116 eV/atom. As for the formation energy: -1516 meV per atom.

Record 2
Computed, not measured: crystalline Fe4OF7 at its relaxed geometry at the PBE with a Hubbard U level of DFT.

Lattice parameters (Å, degrees): 9.567 6.568 4.792 90.00 91.49 90.00
Space group Cm (No. 8)
Symmetry-distinct sites (fractional):
Fe 0.000 0.000 0.000 [2 per cell]
Fe 0.014 0.500 0.019 [2 per cell]
Fe 0.247 0.256 0.489 [4 per cell]
O 0.152 0.500 0.290 [2 per cell]
F 0.097 0.259 0.803 [4 per cell]
F 0.149 0.000 0.300 [2 per cell]
F 0.354 0.000 0.709 [2 per cell]
F 0.355 0.500 0.697 [2 per cell]
F 0.404 0.236 0.190 [4 per cell]

## Properties
The value obtained for the magnetization is 17.0 μB/f.u. As for the calculated total energy: -5.681 eV/atom. As for the formation energy: -2408 meV per atom.

Q: The lowest calculated total energy belongs to which entry?
A: Fe3O5F

Q: Which of these has the highest calculated total energy?
A: Fe4OF7

Copy entry 1 word for word.
Computed, not measured: crystalline Fe3O5F at its relaxed geometry at the PBE with a Hubbard U level of DFT.

Lattice parameters (Å, degrees): 4.644 5.546 7.601 85.22 89.82 89.81
Space group P1 (No. 1)
Symmetry-distinct sites (fractional):
Fe 0.000 0.000 0.000 [1 per cell]
Fe 0.002 0.654 0.313 [1 per cell]
Fe 0.012 0.317 0.663 [1 per cell]
Fe 0.505 0.161 0.330 [1 per cell]
Fe 0.522 0.478 0.991 [1 per cell]
Fe 0.550 0.832 0.655 [1 per cell]
O 0.204 0.946 0.217 [1 per cell]
O 0.206 0.281 0.894 [1 per cell]
O 0.320 0.452 0.227 [1 per cell]
O 0.326 0.124 0.558 [1 per cell]
O 0.705 0.196 0.110 [1 per cell]
O 0.708 0.867 0.420 [1 per cell]
O 0.709 0.525 0.759 [1 per cell]
O 0.817 0.701 0.081 [1 per cell]
O 0.823 0.024 0.773 [1 per cell]
O 0.827 0.368 0.435 [1 per cell]
F 0.215 0.632 0.563 [1 per cell]
F 0.317 0.784 0.884 [1 per cell]

## Properties
The value obtained for the magnetization is 13.0 μB/f.u. As for the calculated total energy: -6.116 eV/atom. As for the formation energy: -1516 meV per atom.